1.
# PBE-GGA TcAs3, optimized geometry
# **E above lowest polymorph**: 0.009 eV per atom
# **Total DFT energy (no corrections)**: -22.7 eV/f.u.
# **Spin magnetization**: 0.000 μB per formula unit
# **Volume**: 16.6 Å³ per atom
# **Mass density**: 8.05 g/cm3
# **Formation energy**: 0.41 eV per atom
data_TcAs3
_chemical_formula_sum 'Tc4 As12'
_cell_length_a 6.433
_cell_length_b 6.433
_cell_length_c 6.433
_cell_angle_alpha 90.00
_cell_angle_beta 90.00
_cell_angle_gamma 90.00
_symmetry_space_group_name_H-M 'F m -3 m'
_symmetry_Int_Tables_number 225
_symmetry_space_group_name_Hall '-F 4 2 3'
loop_
_atom_site_label
_atom_site_fract_x
_atom_site_fract_y
_atom_site_fract_z
Tc1 0.000 0.000 0.000
As1 0.000 0.000 0.500
As2 0.250 0.250 0.250

=====

2.
# PBE-GGA Tc3As, optimized geometry
# **Total DFT energy (no corrections)**: -35.1 eV/f.u.
# **Spin magnetization**: 0.000 μB per formula unit
# **Volume**: 14.6 Å³ per atom
# **Mass density**: 10.48 g/cm3
# **Formation energy**: 0.16 eV per atom
data_Tc3As
_chemical_formula_sum 'Tc6 As2'
_cell_length_a 3.757
_cell_length_b 3.757
_cell_length_c 8.287
_cell_angle_alpha 90.00
_cell_angle_beta 90.00
_cell_angle_gamma 90.00
_symmetry_space_group_name_H-M 'I 4/m m m'
_symmetry_Int_Tables_number 139
_symmetry_space_group_name_Hall '-I 4 2'
loop_
_atom_site_label
_atom_site_fract_x
_atom_site_fract_y
_atom_site_fract_z
Tc1 0.000 0.000 0.000
Tc2 0.000 0.500 0.250
As1 0.000 0.000 0.500

=====

3.
# PBE-GGA Te3As2, optimized geometry
# **E above lowest polymorph**: 0.013 eV per atom
# **Total DFT energy (no corrections)**: -18.8 eV/f.u.
# **Spin magnetization**: 0.001 μB per formula unit
# **Volume**: 30.5 Å³ per atom
# **Mass density**: 5.80 g/cm3
# **Formation energy**: 0.00 eV per atom
data_Te3As2
_chemical_formula_sum 'Te24 As16'
_cell_length_a 7.067
_cell_length_b 16.353
_cell_length_c 10.797
_cell_angle_alpha 90.00
_cell_angle_beta 102.22
_cell_angle_gamma 90.00
_symmetry_space_group_name_H-M 'P 1 21/m 1'
_symmetry_Int_Tables_number 11
loop_
_symmetry_equiv_pos_as_xyz
'x,y,z'
'-x,-y,-z'
'-x,y+1/2,-z'
'x,-y+1/2,z'
loop_
_atom_site_label
_atom_site_fract_x
_atom_site_fract_y
_atom_site_fract_z
Te1 0.000 0.000 0.000
Te2 0.010 0.250 0.006
Te3 0.214 0.750 0.669
Te4 0.226 0.501 0.672
Te5 0.237 0.250 0.666
Te6 0.262 0.623 0.336
Te7 0.282 0.125 0.330
Te8 0.493 0.626 0.994
As1 0.103 0.629 0.828
As2 0.111 0.121 0.817
As3 0.380 0.750 0.203
As4 0.397 0.009 0.170
As5 0.397 0.250 0.178

=====

4.
# PBE-GGA Te3As2, optimized geometry
# **E above lowest polymorph**: 0.000 eV per atom
# **Total DFT energy (no corrections)**: -18.8 eV/f.u.
# **Volume**: 30.8 Å³ per atom
# **Mass density**: 5.74 g/cm3
# **Formation energy**: -0.01 eV per atom
data_Te3As2
_chemical_formula_sum 'Te12 As8'
_cell_length_a 15.001
_cell_length_b 4.069
_cell_length_c 10.141
_cell_angle_alpha 90.00
_cell_angle_beta 95.58
_cell_angle_gamma 90.00
_symmetry_space_group_name_H-M 'C 1 2/m 1'
_symmetry_Int_Tables_number 12
loop_
_symmetry_equiv_pos_as_xyz
'x,y,z'
'-x,-y,-z'
'-x,y,-z'
'x,-y,z'
'x+1/2,y+1/2,z'
'-x+1/2,-y+1/2,-z'
'-x+1/2,y+1/2,-z'
'x+1/2,-y+1/2,z'
loop_
_atom_site_label
_atom_site_fract_x
_atom_site_fract_y
_atom_site_fract_z
Te1 0.042 0.000 0.288
Te2 0.130 0.500 0.969
Te3 0.218 0.000 0.664
As1 0.125 0.500 0.440
As2 0.205 0.000 0.141

=====

5.
# PBE-GGA Te3As2, optimized geometry
# **E above lowest polymorph**: 0.009 eV per atom
# **Total DFT energy (no corrections)**: -18.8 eV/f.u.
# **Volume**: 29.3 Å³ per atom
# **Mass density**: 6.05 g/cm3
# **Formation energy**: -0.01 eV per atom
data_Te3As2
_chemical_formula_sum 'Te9 As6'
_cell_length_a 4.0895
_cell_length_b 4.0895
_cell_length_c 30.3062
_cell_angle_alpha 90.00
_cell_angle_beta 90.00
_cell_angle_gamma 120.00
_symmetry_space_group_name_H-M 'R -3 m'
_symmetry_Int_Tables_number 166
_symmetry_space_group_name_Hall '-R 3 2"'
loop_
_atom_site_label
_atom_site_fract_x
_atom_site_fract_y
_atom_site_fract_z
Te1 0.0000 0.0000 0.0000
Te2 0.0000 0.0000 0.2186
As1 0.0000 0.0000 0.3951

=====

6.
# PBE-GGA TeAs, optimized geometry
# **Total DFT energy (no corrections)**: -7.6 eV/f.u.
# **Spin magnetization**: 0.008 μB per formula unit
# **Volume**: 26.1 Å³ per atom
# **Mass density**: 6.43 g/cm3
# **Formation energy**: 0.08 eV per atom
data_TeAs
_chemical_formula_sum 'Te4 As4'
_cell_length_a 5.935
_cell_length_b 5.935
_cell_length_c 5.935
_cell_angle_alpha 90.00
_cell_angle_beta 90.00
_cell_angle_gamma 90.00
_symmetry_space_group_name_H-M 'F m -3 m'
_symmetry_Int_Tables_number 225
_symmetry_space_group_name_Hall '-F 4 2 3'
loop_
_atom_site_label
_atom_site_fract_x
_atom_site_fract_y
_atom_site_fract_z
Te1 0.000 0.000 0.000
As1 0.000 0.000 0.500

=====

7.
# PBE-GGA ThTeAs, optimized geometry
# **Total DFT energy (no corrections)**: -18.7 eV/f.u.
# **Volume**: 27.7 Å³ per atom
# **Mass density**: 8.67 g/cm3
# **Formation energy**: -1.17 eV per atom
data_ThTeAs
_chemical_formula_sum 'Th2 Te2 As2'
_cell_length_a 4.322
_cell_length_b 4.322
_cell_length_c 8.909
_cell_angle_alpha 90.00
_cell_angle_beta 90.00
_cell_angle_gamma 90.00
_symmetry_space_group_name_H-M 'P 4/n m m'
_symmetry_Int_Tables_number 129
loop_
_symmetry_equiv_pos_as_xyz
'x,y,z'
'-x,-y,-z'
'-y+1/2,x,z'
'y+1/2,-x,-z'
'-x+1/2,-y+1/2,z'
'x+1/2,y+1/2,-z'
'y,-x+1/2,z'
'-y,x+1/2,-z'
'x+1/2,-y,-z'
'-x+1/2,y,z'
'-y,-x,-z'
'y,x,z'
'-x,y+1/2,-z'
'x,-y+1/2,z'
'y+1/2,x+1/2,-z'
'-y+1/2,-x+1/2,z'
loop_
_atom_site_label
_atom_site_fract_x
_atom_site_fract_y
_atom_site_fract_z
Th1 0.250 0.250 0.241
Te1 0.250 0.250 0.628
As1 0.250 0.750 0.000

=====

8.
# PBE-GGA TiTeAs, optimized geometry
# **Total DFT energy (no corrections)**: -17.8 eV/f.u.
# **Volume**: 20.5 Å³ per atom
# **Mass density**: 6.77 g/cm3
# **Formation energy**: -0.69 eV per atom
data_TiTeAs
_chemical_formula_sum 'Ti4 Te4 As4'
_cell_length_a 3.599
_cell_length_b 5.303
_cell_length_c 12.873
_cell_angle_alpha 90.00
_cell_angle_beta 90.00
_cell_angle_gamma 90.00
_symmetry_space_group_name_H-M 'I m m m'
_symmetry_Int_Tables_number 71
_symmetry_space_group_name_Hall '-I 2 2'
loop_
_atom_site_label
_atom_site_fract_x
_atom_site_fract_y
_atom_site_fract_z
Ti1 0.000 0.000 0.118
Te1 0.000 0.500 0.209
As1 0.000 0.249 0.500

=====

9.
# PBE-GGA ThAs, optimized geometry
# **Total DFT energy (no corrections)**: -14.9 eV/f.u.
# **Volume**: 27.2 Å³ per atom
# **Mass density**: 9.37 g/cm3
# **Formation energy**: -1.40 eV per atom
data_ThAs
_chemical_formula_sum 'Th4 As4'
_cell_length_a 6.015
_cell_length_b 6.015
_cell_length_c 6.015
_cell_angle_alpha 90.00
_cell_angle_beta 90.00
_cell_angle_gamma 90.00
_symmetry_space_group_name_H-M 'F m -3 m'
_symmetry_Int_Tables_number 225
_symmetry_space_group_name_Hall '-F 4 2 3'
loop_
_atom_site_label
_atom_site_fract_x
_atom_site_fract_y
_atom_site_fract_z
Th1 0.000 0.000 0.000
As1 0.000 0.000 0.500